CoRh2Se4: relaxed, GGA-PBE.

Cell and atoms, written as CIF:
```
data_CoRh2Se4
_symmetry_space_group_name_H-M 'P 1'
_symmetry_Int_Tables_number 1
_cell_length_a 6.380
_cell_length_b 6.380
_cell_length_c 6.430
_cell_angle_alpha 119.06
_cell_angle_beta 119.06
_cell_angle_gamma 34.00
loop_
_symmetry_equiv_pos_as_xyz
'x,y,z'
loop_
_atom_site_label
_atom_site_type_symbol
_atom_site_fract_x
_atom_site_fract_y
_atom_site_fract_z
Co1 Co 0.000 0.000 0.000
Rh1 Rh 0.263 0.263 0.280
Rh2 Rh 0.737 0.737 0.720
Se1 Se 0.117 0.117 0.446
Se2 Se 0.371 0.371 0.027
Se3 Se 0.629 0.629 0.973
Se4 Se 0.883 0.883 0.554
```

Volume, A^3/atom: 18.0
Calculated formation energy, meV/atom: -589

---

LiMg6Co: relaxed, GGA-PBE.

Cell and atoms, written as CIF:
```
data_LiMg6Co
_symmetry_space_group_name_H-M 'P 1'
_symmetry_Int_Tables_number 1
_cell_length_a 4.888
_cell_length_b 6.055
_cell_length_c 6.055
_cell_angle_alpha 60.26
_cell_angle_beta 90.00
_cell_angle_gamma 90.00
loop_
_symmetry_equiv_pos_as_xyz
'x,y,z'
loop_
_atom_site_label
_atom_site_type_symbol
_atom_site_fract_x
_atom_site_fract_y
_atom_site_fract_z
Li1 Li 0.000 0.000 0.000
Mg1 Mg 0.000 0.002 0.467
Mg2 Mg 0.000 0.467 0.002
Mg3 Mg 0.000 0.493 0.493
Mg4 Mg 0.500 0.159 0.670
Mg5 Mg 0.500 0.662 0.662
Mg6 Mg 0.500 0.670 0.159
Co1 Co 0.500 0.166 0.166
```

Volume, A^3/atom: 19.5
Polymorph energy (0 for the lowest one), eV/f.u.: 0.036
Calculated formation energy, meV/atom: 118

---

> What is the volume in the second record?

19.5 A^3/atom